This record from the Materials Project database describes crystalline Mg3Si4 at its relaxed geometry. The functional is GGA-PBE.

a b c (Å): 4.7364 7.1435 8.1510
angles (deg): 107.71 91.63 95.76
Sites, in units of the cell vectors:
Si1 0.7370 0.9577 0.9111
Si2 0.2946 0.5136 0.2557
Si3 0.1211 0.4524 0.7258
Si4 0.7296 0.2189 0.7751
Si5 0.2206 0.2923 0.4326
Si6 0.6748 0.7915 0.3391
Si7 0.2174 0.8043 0.8432
Si8 0.6366 0.1367 0.4713
Mg1 0.1548 0.9371 0.5696
Mg2 0.6616 0.6133 0.5997
Mg3 0.1590 0.9187 0.1867
Mg4 0.7539 0.2903 0.2067
Mg5 0.2453 0.2228 0.9494
Mg6 0.6470 0.5968 0.9807

Summary:
Symmetry = No. 1
Total energy after the MP2020 corrections = -25.4 eV/f.u.

***

This record from the Materials Project database describes crystalline Mg3Si4 at its relaxed geometry. The functional is GGA-PBE.

a b c (Å): 9.9865 9.9865 8.4722
angles (deg): 87.73 87.73 18.45
Sites, in units of the cell vectors:
Mg1 0.7986 0.7986 0.0659
Mg2 0.0545 0.0545 0.1677
Mg3 0.0542 0.0542 0.6844
Mg4 0.6711 0.6711 0.4016
Mg5 0.6442 0.6442 0.9149
Mg6 0.4078 0.4078 0.6651
Si1 0.1957 0.1957 0.6667
Si2 0.5223 0.5223 0.4320
Si3 0.8177 0.8177 0.4590
Si4 0.9323 0.9323 0.3557
Si5 0.4957 0.4957 0.9254
Si6 0.4097 0.4097 0.1318
Si7 0.7825 0.7825 0.7382
Si8 0.1906 0.1906 0.1451

Summary:
Symmetry = No. 8
Total energy after the MP2020 corrections = -25.1 eV/f.u.

***

This record from the Materials Project database describes crystalline Mg3Si4 at its relaxed geometry. The functional is GGA-PBE.

a b c (Å): 8.1541 8.1541 9.8086
angles (deg): 62.90 62.90 27.45
Sites, in units of the cell vectors:
Mg1 0.1277 0.1277 0.2806
Mg2 0.3227 0.3227 0.7870
Mg3 0.6229 0.6229 0.9432
Mg4 0.8196 0.8196 0.5180
Mg5 0.5955 0.5955 0.5941
Mg6 0.9745 0.9745 0.8884
Si1 0.9578 0.9578 0.6084
Si2 0.1755 0.1755 0.7126
Si3 0.7511 0.7511 0.0509
Si4 0.3375 0.3375 0.0601
Si5 0.4786 0.4786 0.4398
Si6 0.2291 0.2291 0.4394
Si7 0.9956 0.9956 0.1748
Si8 0.3954 0.3954 0.2493

Summary:
Symmetry = No. 8
Total energy after the MP2020 corrections = -25.7 eV/f.u.

***

This record from the Materials Project database describes crystalline Mg4Si3 at its relaxed geometry. The functional is GGA-PBE.

a b c (Å): 7.3170 12.7307 7.2499
angles (deg): 118.43 65.48 110.40
Sites, in units of the cell vectors:
Mg1 0.2107 0.9134 0.1739
Mg2 0.5457 0.4430 0.3550
Mg3 0.6277 0.1403 0.1004
Mg4 0.0377 0.1269 0.7143
Mg5 0.7506 0.9520 0.4670
Mg6 0.7010 0.4928 0.9330
Mg7 0.4633 0.2761 0.6197
Mg8 0.8739 0.9574 0.0245
Mg9 0.4734 0.7546 0.1566
Mg10 0.7490 0.6583 0.6964
Mg11 0.3465 0.0704 0.8342
Mg12 0.2255 0.7975 0.6299
Mg13 0.0043 0.6378 0.2476
Mg14 0.1024 0.3798 0.6003
Mg15 0.2571 0.6459 0.8024
Mg16 0.2037 0.3065 0.0982
Si1 0.2534 0.5488 0.3703
Si2 0.8816 0.7454 0.0657
Si3 0.8598 0.4098 0.4207
Si4 0.9626 0.8721 0.5841
Si5 0.5698 0.8550 0.7881
Si6 0.9303 0.3903 0.0325
Si7 0.4932 0.0115 0.3893
Si8 0.8205 0.1827 0.3941
Si9 0.7112 0.2407 0.8031
Si10 0.1611 0.1465 0.2954
Si11 0.6047 0.6891 0.4069
Si12 0.3226 0.4912 0.9132

Summary:
Symmetry = No. 1
Total energy after the MP2020 corrections = -21.9 eV/f.u.

***

This record from the Materials Project database describes crystalline Mg4Si7 at its relaxed geometry. The functional is GGA-PBE.

a b c (Å): 4.0610 8.1407 12.7582
angles (deg): 83.14 85.03 87.41
Sites, in units of the cell vectors:
Mg1 0.0750 0.5004 0.1742
Mg2 0.9414 0.1630 0.6890
Mg3 0.9666 0.8271 0.5690
Mg4 0.4925 0.3908 0.5392
Mg5 0.0577 0.1763 0.3848
Mg6 0.4317 0.4123 0.7833
Mg7 0.1375 0.1314 0.0839
Mg8 0.0265 0.6422 0.3866
Si1 0.2023 0.8251 0.1863
Si2 0.4050 0.7470 0.0151
Si3 0.6729 0.9565 0.2401
Si4 0.0997 0.5445 0.9490
Si5 0.2752 0.9880 0.8950
Si6 0.4958 0.8776 0.4247
Si7 0.8807 0.6856 0.7803
Si8 0.3867 0.8580 0.7356
Si9 0.7490 0.1548 0.9042
Si10 0.6250 0.3817 0.0110
Si11 0.9616 0.5012 0.6420
Si12 0.5900 0.2540 0.2020
Si13 0.5604 0.4323 0.3311
Si14 0.4739 0.0536 0.5699

Summary:
Symmetry = No. 1
Total energy after the MP2020 corrections = -42.5 eV/f.u.

***

This record from the Materials Project database describes crystalline Mg5Si6 at its relaxed geometry. The functional is GGA-PBE.

a b c (Å): 5.3287 5.5048 13.7336
angles (deg): 91.23 91.80 96.07
Sites, in units of the cell vectors:
Mg1 0.4674 0.6883 0.9941
Mg2 0.2917 0.8969 0.2001
Mg3 0.9277 0.4820 0.8700
Mg4 0.1172 0.9731 0.7477
Mg5 0.6060 0.9654 0.4197
Mg6 0.6200 0.0377 0.6394
Mg7 0.1107 0.2121 0.5362
Mg8 0.8399 0.1945 0.2307
Mg9 0.3125 0.4304 0.3527
Mg10 0.0231 0.0221 0.9954
Si1 0.2102 0.7331 0.5618
Si2 0.9587 0.5563 0.0765
Si3 0.6478 0.8944 0.8242
Si4 0.5752 0.2013 0.0488
Si5 0.4217 0.5231 0.7428
Si6 0.0943 0.8748 0.3845
Si7 0.3146 0.3946 0.1577
Si8 0.8148 0.4934 0.3940
Si9 0.7373 0.6955 0.2288
Si10 0.5753 0.5007 0.5458
Si11 0.4193 0.2301 0.8809
Si12 0.9219 0.5001 0.6719

Summary:
Symmetry = No. 1
Total energy after the MP2020 corrections = -39.0 eV/f.u.

***

This record from the Materials Project database describes crystalline Mg5Si6 at its relaxed geometry. The functional is GGA-PBE.

a b c (Å): 5.1156 5.4048 14.6608
angles (deg): 98.35 99.94 91.01
Sites, in units of the cell vectors:
Si1 0.7556 0.6372 0.5489
Si2 0.1501 0.5622 0.3219
Si3 0.4459 0.8729 0.4376
Si4 0.3389 0.8907 0.8112
Si5 0.7649 0.8736 0.0874
Si6 0.2131 0.4639 0.6805
Si7 0.9451 0.8646 0.4306
Si8 0.7967 0.2112 0.6145
Si9 0.5981 0.2743 0.7612
Si10 0.5406 0.1882 0.1785
Si11 0.4663 0.4854 0.0478
Si12 0.6625 0.6470 0.9035
Mg1 0.2413 0.3619 0.4932
Mg2 0.1120 0.0436 0.2626
Mg3 0.7154 0.1608 0.9416
Mg4 0.5950 0.7107 0.2444
Mg5 0.8146 0.7884 0.7426
Mg6 0.2194 0.9179 0.0098
Mg7 0.2740 0.9220 0.6163
Mg8 0.0211 0.4441 0.1260
Mg9 0.6745 0.2963 0.3744
Mg10 0.1511 0.3795 0.8616

Summary:
Symmetry = No. 1
Total energy after the MP2020 corrections = -39.0 eV/f.u.

***

This record from the Materials Project database describes crystalline Mg2Si3 at its relaxed geometry. The functional is GGA-PBE.

a b c (Å): 6.0714 6.0714 15.7060
angles (deg): 82.27 82.27 40.13
Sites, in units of the cell vectors:
Mg1 0.4795 0.4795 0.1985
Mg2 0.5205 0.5205 0.8015
Mg3 0.6376 0.6376 0.0002
Mg4 0.1382 0.1382 0.5077
Mg5 0.3624 0.3624 0.9998
Mg6 0.8618 0.8618 0.4923
Mg7 0.1042 0.1042 0.3108
Mg8 0.8958 0.8958 0.6892
Si1 0.1657 0.1657 0.1320
Si2 0.8514 0.8514 0.2918
Si3 0.0196 0.0196 0.9218
Si4 0.4795 0.4795 0.5797
Si5 0.3219 0.3219 0.3754
Si6 0.5205 0.5205 0.4203
Si7 0.7678 0.7678 0.1613
Si8 0.6781 0.6781 0.6246
Si9 0.2322 0.2322 0.8387
Si10 0.1486 0.1486 0.7082
Si11 0.8343 0.8343 0.8680
Si12 0.9804 0.9804 0.0782

Summary:
Symmetry = No. 12
Total energy after the MP2020 corrections = -18.8 eV/f.u.

***

This record from the Materials Project database describes crystalline Mg4Si7 at its relaxed geometry. The functional is GGA-PBE.

a b c (Å): 14.5350 14.5350 6.8616
angles (deg): 85.84 85.84 15.67
Sites, in units of the cell vectors:
Si1 0.0566 0.0566 0.8226
Si2 0.7720 0.7720 0.3752
Si3 0.1370 0.1370 0.9304
Si4 0.6909 0.6909 0.2807
Si5 0.3272 0.3272 0.3482
Si6 0.4517 0.4517 0.5652
Si7 0.5166 0.5166 0.0361
Si8 0.1252 0.1252 0.2912
Si9 0.5703 0.5703 0.2870
Si10 0.3931 0.3931 0.8324
Si11 0.5330 0.5330 0.6226
Si12 0.7665 0.7665 0.7429
Si13 0.6885 0.6885 0.9183
Si14 0.3171 0.3171 0.7136
Mg1 0.9597 0.9597 0.8736
Mg2 0.2078 0.2078 0.5626
Mg3 0.2516 0.2516 0.0812
Mg4 0.6267 0.6267 0.6138
Mg5 0.9984 0.9984 0.3351
Mg6 0.8426 0.8426 0.0415
Mg7 0.4214 0.4214 0.1982
Mg8 0.8820 0.8820 0.5277

Summary:
Symmetry = No. 8
Total energy after the MP2020 corrections = -42.5 eV/f.u.

***

This record from the Materials Project database describes crystalline Mg14SiSn at its relaxed geometry. The functional is GGA-PBE.

a b c (Å): 6.3070 6.3070 10.2420
angles (deg): 90.00 90.00 120.00
Sites, in units of the cell vectors:
Mg1 0.3337 0.6674 0.8689
Mg2 0.3337 0.1663 0.8689
Mg3 0.6676 0.8324 0.6250
Mg4 0.8326 0.1663 0.3811
Mg5 0.3337 0.6674 0.3811
Mg6 0.6676 0.3353 0.6250
Mg7 0.8333 0.6667 0.8747
Mg8 0.8333 0.6667 0.3753
Mg9 0.1669 0.8334 0.1250
Mg10 0.1647 0.8324 0.6250
Mg11 0.8326 0.1663 0.8689
Mg12 0.3337 0.1663 0.3811
Mg13 0.6666 0.8334 0.1250
Mg14 0.6666 0.3331 0.1250
Sn1 0.1667 0.3333 0.1250
Si1 0.1667 0.3333 0.6250

Summary:
Symmetry = No. 187

***

This record from the Materials Project database describes crystalline Mg14SiSn at its relaxed geometry. The functional is GGA-PBE.

a b c (Å): 6.2645 6.5955 10.1686
angles (deg): 90.00 90.00 121.76
Sites, in units of the cell vectors:
Mg1 0.8327 0.1663 0.3763
Mg2 0.1708 0.3354 0.6250
Mg3 0.8384 0.6692 0.3704
Mg4 0.8384 0.6692 0.8796
Mg5 0.3282 0.1594 0.3694
Mg6 0.1701 0.8350 0.6250
Mg7 0.3282 0.6688 0.8806
Mg8 0.8327 0.1663 0.8737
Mg9 0.6708 0.3348 0.1250
Mg10 0.6677 0.3346 0.6250
Mg11 0.6677 0.8331 0.6250
Mg12 0.6708 0.8361 0.1250
Mg13 0.3282 0.1594 0.8806
Mg14 0.3282 0.6688 0.3694
Si1 0.1623 0.8311 0.1250
Sn1 0.1647 0.3323 0.1250

Summary:
Symmetry = No. 38

***

This record from the Materials Project database describes crystalline SrMg14Si at its relaxed geometry. The functional is GGA-PBE.

a b c (Å): 6.4411 6.4411 10.6039
angles (deg): 90.00 90.00 120.00
Sites, in units of the cell vectors:
Mg1 0.3333 0.1667 0.8894
Mg2 0.8334 0.1667 0.8894
Mg3 0.8334 0.1667 0.3606
Mg4 0.3333 0.6666 0.3606
Mg5 0.1765 0.8382 0.6250
Mg6 0.3333 0.1667 0.3606
Mg7 0.8333 0.6667 0.8668
Mg8 0.6692 0.3384 0.1250
Mg9 0.1616 0.8308 0.1250
Mg10 0.8333 0.6667 0.3832
Mg11 0.6692 0.8308 0.1250
Mg12 0.6618 0.3235 0.6250
Mg13 0.6618 0.8382 0.6250
Mg14 0.3333 0.6666 0.8894
Sr1 0.1667 0.3333 0.6250
Si1 0.1667 0.3333 0.1250

Summary:
Symmetry = No. 187
Total energy after the MP2020 corrections = -28.3 eV/f.u.

***

What are the final energy values for these records? In order: -3.6691 -3.6280 -3.7116 -3.1647 -3.9053 -3.5834 -3.5855 -3.7982 -3.9050 -1.9972 -1.9756 -1.7731 eV per atom.